Arrangement A

! KHfMg6O7 (PBE, relaxed); values from VASP
&SYSTEM
  ibrav = 0, nat = 15, ntyp = 4
/
ATOMIC_SPECIES
K 39.10 K.upf
Hf 178.49 Hf.upf
Mg 24.30 Mg.upf
O 16.00 O.upf
CELL_PARAMETERS angstrom
4.5385 0.0000 0.0000
0.0000 4.5385 0.0000
0.0000 0.0000 9.1267
ATOMIC_POSITIONS angstrom
K 0.0000 0.0000 0.0000
Hf 0.0000 0.0000 4.5183
Mg 0.0000 2.2693 1.9477
Mg 0.0000 2.2693 6.8749
Mg 2.2693 0.0000 1.9477
Mg 2.2693 0.0000 6.8749
Mg 2.2693 2.2693 4.6434
Mg 2.2693 2.2693 8.8633
O 0.0000 0.0000 2.4800
O 0.0000 0.0000 6.5525
O 0.0000 2.2693 4.6717
O 0.0000 2.2693 8.9008
O 2.2693 0.0000 4.6717
O 2.2693 0.0000 8.9008
O 2.2693 2.2693 6.7481
! - Crystal system: tetragonal
! - Space group: P4mm, No. 99

Arrangement B

! KHfMg6O7 (PBE, relaxed); values from VASP
&SYSTEM
  ibrav = 0, nat = 15, ntyp = 4
/
ATOMIC_SPECIES
K 39.10 K.upf
Hf 178.49 Hf.upf
Mg 24.30 Mg.upf
O 16.00 O.upf
CELL_PARAMETERS angstrom
4.1784 0.0000 0.0000
0.0000 4.1784 0.0000
0.0000 0.0000 11.8018
ATOMIC_POSITIONS angstrom
K 0.0000 0.0000 0.0000
Hf 2.0892 2.0892 9.8645
Mg 0.0000 0.0000 5.3374
Mg 0.0000 2.0892 3.1397
Mg 0.0000 2.0892 7.5913
Mg 2.0892 0.0000 3.1397
Mg 2.0892 0.0000 7.5913
Mg 2.0892 2.0892 5.3749
O 0.0000 0.0000 3.1110
O 0.0000 0.0000 7.3680
O 0.0000 2.0892 5.3139
O 0.0000 2.0892 9.7785
O 2.0892 0.0000 5.3139
O 2.0892 0.0000 9.7785
O 2.0892 2.0892 7.6720
! - Crystal system: tetragonal
! - Space group: P4mm, No. 99

Most favorable first, least favorable last: arrangement B, arrangement A